1.
Below is crystalline Ba3GdIrRuO9 at its relaxed geometry, with properties calculated at the PBE-GGA level.

- ΔE_f: -2559 meV per atom

Unit cell a=5.9768 b=5.9768 c=14.8266 alpha=90.00 beta=90.00 gamma=120.00
Element x y z (fractional)
Ba: 0.6667 0.3333 0.4032
Ba: 0.3333 0.6667 0.5976
Ba: 0.3333 0.6667 0.9032
Ba: 0.6667 0.3333 0.0976
Ba: 0.0000 0.0000 0.7499
Ba: 0.0000 0.0000 0.2499
Gd: 0.0000 0.0000 0.5012
Gd: 0.0000 0.0000 0.0012
Ir: 0.6667 0.3333 0.6653
Ir: 0.3333 0.6667 0.1653
Ru: 0.3333 0.6667 0.3360
Ru: 0.6667 0.3333 0.8360
O: 0.5103 0.0205 0.7506
O: 0.5103 0.4897 0.7506
O: 0.9795 0.4897 0.7506
O: 0.4897 0.9795 0.2506
O: 0.4897 0.5103 0.2506
O: 0.0205 0.5103 0.2506
O: 0.8233 0.6467 0.9099
O: 0.8233 0.1767 0.9099
O: 0.3533 0.1767 0.9099
O: 0.1763 0.3526 0.0884
O: 0.1763 0.8237 0.0884
O: 0.6474 0.8237 0.0884
O: 0.1767 0.3533 0.4099
O: 0.1767 0.8233 0.4099
O: 0.6467 0.8233 0.4099
O: 0.8237 0.6474 0.5884
O: 0.8237 0.1763 0.5884
O: 0.3526 0.1763 0.5884

2.
Below is crystalline Na8NbO6 at its relaxed geometry, with properties calculated at the PBE-GGA level.

- ΔE_f: -1853 meV per atom

Unit cell a=6.5271 b=6.5271 c=13.2536 alpha=90.00 beta=90.00 gamma=120.00
Element x y z (fractional)
Na: 0.0000 0.6973 0.7692
Na: 0.0000 0.6016 0.1285
Na: 0.0000 0.3984 0.6285
Na: 0.0000 0.3027 0.2692
Na: 0.3333 0.6667 0.4093
Na: 0.3333 0.6667 0.9093
Na: 0.3027 0.3027 0.7692
Na: 0.3984 0.3984 0.1285
Na: 0.6016 0.6016 0.6285
Na: 0.3027 0.0000 0.2692
Na: 0.6973 0.6973 0.2692
Na: 0.3984 0.0000 0.6285
Na: 0.6667 0.3333 0.9093
Na: 0.6667 0.3333 0.4093
Na: 0.6016 0.0000 0.1285
Na: 0.6973 0.0000 0.7692
Nb: 0.0000 0.0000 0.9907
Nb: 0.0000 0.0000 0.4907
O: 0.0000 0.7198 0.9532
O: 0.0000 0.2802 0.4532
O: 0.3333 0.6667 0.2227
O: 0.0000 0.0000 0.1341
O: 0.0000 0.0000 0.6341
O: 0.3333 0.6667 0.7227
O: 0.2802 0.2802 0.9532
O: 0.2802 0.0000 0.4532
O: 0.7198 0.7198 0.4532
O: 0.6667 0.3333 0.7227
O: 0.6667 0.3333 0.2227
O: 0.7198 0.0000 0.9532

3.
Below is crystalline Tm2ZnCu at its relaxed geometry, with properties calculated at the PBE-GGA level.

- ΔE_f: -312 meV per atom

Unit cell a=4.9065 b=4.9065 c=4.9065 alpha=60.00 beta=60.00 gamma=60.00
Element x y z (fractional)
Tm: 0.2500 0.2500 0.2500
Tm: 0.7500 0.7500 0.7500
Zn: 0.0000 0.0000 0.0000
Cu: 0.5000 0.5000 0.5000

4.
Below is crystalline Sr3CePC3O13 at its relaxed geometry, with properties calculated at the PBE-GGA level.

- ΔE_f: -2893 meV per atom

Unit cell a=6.6577 b=6.6577 c=6.6577 alpha=99.99 beta=99.99 gamma=99.99
Element x y z (fractional)
Sr: 0.9209 0.4741 0.4741
Sr: 0.4741 0.4741 0.9209
Sr: 0.4741 0.9209 0.4741
Ce: 0.0001 0.0001 0.0001
P: 0.4205 0.4205 0.4205
C: 0.9331 0.9331 0.4341
C: 0.4341 0.9331 0.9331
C: 0.9331 0.4341 0.9331
O: 0.0600 0.8405 0.3428
O: 0.3428 0.0600 0.8405
O: 0.6053 0.8888 0.8888
O: 0.5614 0.5614 0.3139
O: 0.2555 0.2555 0.2555
O: 0.8405 0.3428 0.0600
O: 0.8405 0.0600 0.3428
O: 0.3139 0.5614 0.5614
O: 0.8888 0.8888 0.6053
O: 0.0600 0.3428 0.8405
O: 0.3428 0.8405 0.0600
O: 0.5614 0.3139 0.5614
O: 0.8888 0.6053 0.8888